(1)
# Sr2FeCoO6 | the Materials Project | PBE with a Hubbard U | relaxed
# total DFT energy (no corrections)	-6.15	eV/atom
# E_form	-2092	meV per atom
data_Sr2FeCoO6
_chemical_formula_sum 'Sr4 Fe2 Co2 O12'
_cell_length_a 5.5393
_cell_length_b 5.5393
_cell_length_c 7.7407
_cell_angle_alpha 90.00
_cell_angle_beta 90.00
_cell_angle_gamma 90.00
_space_group_name_H-M_alt 'P 1'
_space_group_IT_number 1
loop_
_space_group_symop_operation_xyz
'x,y,z'
loop_
_atom_site_label
_atom_site_type_symbol
_atom_site_fract_x
_atom_site_fract_y
_atom_site_fract_z
Sr1 Sr 0.0000 0.5000 0.2466
Sr2 Sr 0.0000 0.5000 0.7534
Sr3 Sr 0.5000 0.0000 0.2466
Sr4 Sr 0.5000 0.0000 0.7534
Fe1 Fe 0.0000 0.0000 0.0000
Fe2 Fe 0.5000 0.5000 0.5000
Co1 Co 0.0000 0.0000 0.5000
Co2 Co 0.5000 0.5000 0.0000
O1 O 0.0000 0.0000 0.2509
O2 O 0.0000 0.0000 0.7491
O3 O 0.2498 0.2498 0.0000
O4 O 0.2498 0.7502 0.0000
O5 O 0.2515 0.2515 0.5000
O6 O 0.2515 0.7485 0.5000
O7 O 0.5000 0.5000 0.2337
O8 O 0.5000 0.5000 0.7663
O9 O 0.7485 0.2515 0.5000
O10 O 0.7485 0.7485 0.5000
O11 O 0.7502 0.2498 0.0000
O12 O 0.7502 0.7502 0.0000

(2)
# Li3CoO2F | the Materials Project | PBE with a Hubbard U | relaxed
# total DFT energy (no corrections)	-5.13	eV/atom
# ΔE to the lowest computed polymorph	0	meV per atom
# E_form	-2107	meV per atom
data_Li3CoO2F
_chemical_formula_sum 'Li12 Co4 O8 F4'
_cell_length_a 8.5417
_cell_length_b 9.7343
_cell_length_c 3.6482
_cell_angle_alpha 90.00
_cell_angle_beta 90.00
_cell_angle_gamma 90.00
_space_group_name_H-M_alt 'P 1'
_space_group_IT_number 1
loop_
_space_group_symop_operation_xyz
'x,y,z'
loop_
_atom_site_label
_atom_site_type_symbol
_atom_site_fract_x
_atom_site_fract_y
_atom_site_fract_z
Li1 Li 0.1027 0.1556 0.0000
Li2 Li 0.1436 0.9236 0.5000
Li3 Li 0.1619 0.3267 0.5000
Li4 Li 0.3381 0.8267 0.0000
Li5 Li 0.3564 0.4236 0.0000
Li6 Li 0.3973 0.6556 0.5000
Li7 Li 0.6027 0.3444 0.5000
Li8 Li 0.6436 0.5764 0.0000
Li9 Li 0.6619 0.1733 0.0000
Li10 Li 0.8381 0.6733 0.5000
Li11 Li 0.8564 0.0764 0.5000
Li12 Li 0.8973 0.8444 0.0000
Co1 Co 0.1180 0.5904 0.0000
Co2 Co 0.3820 0.0904 0.5000
Co3 Co 0.6180 0.9096 0.5000
Co4 Co 0.8820 0.4096 0.0000
O1 O 0.1012 0.3826 0.0000
O2 O 0.1721 0.1243 0.5000
O3 O 0.3279 0.6243 0.0000
O4 O 0.3988 0.8826 0.5000
O5 O 0.6012 0.1174 0.5000
O6 O 0.6721 0.3757 0.0000
O7 O 0.8279 0.8757 0.5000
O8 O 0.8988 0.6174 0.0000
F1 F 0.1174 0.8690 0.0000
F2 F 0.3826 0.3690 0.5000
F3 F 0.6174 0.6310 0.5000
F4 F 0.8826 0.1310 0.0000

(3)
# ScBi3Mo2O12 | the Materials Project | PBE with a Hubbard U | relaxed
# total DFT energy (no corrections)	-6.86	eV/atom
# E_form	-2174	meV per atom
data_ScBi3Mo2O12
_chemical_formula_sum 'Sc2 Bi6 Mo4 O24'
_cell_length_a 10.4149
_cell_length_b 10.4149
_cell_length_c 5.3854
_cell_angle_alpha 102.02
_cell_angle_beta 102.02
_cell_angle_gamma 68.71
_space_group_name_H-M_alt 'P 1'
_space_group_IT_number 1
loop_
_space_group_symop_operation_xyz
'x,y,z'
loop_
_atom_site_label
_atom_site_type_symbol
_atom_site_fract_x
_atom_site_fract_y
_atom_site_fract_z
Sc1 Sc 0.0903 0.9097 0.7500
Sc2 Sc 0.9097 0.0903 0.2500
Bi1 Bi 0.0370 0.2716 0.9308
Bi2 Bi 0.2716 0.0370 0.4308
Bi3 Bi 0.3368 0.6632 0.2500
Bi4 Bi 0.6632 0.3368 0.7500
Bi5 Bi 0.7284 0.9630 0.5692
Bi6 Bi 0.9630 0.7284 0.0692
Mo1 Mo 0.2026 0.4600 0.5727
Mo2 Mo 0.4600 0.2026 0.0727
Mo3 Mo 0.5400 0.7974 0.9273
Mo4 Mo 0.7974 0.5400 0.4273
O1 O 0.0584 0.1051 0.5836
O2 O 0.0707 0.4964 0.7688
O3 O 0.1051 0.0584 0.0836
O4 O 0.1550 0.7462 0.9694
O5 O 0.1664 0.6018 0.3797
O6 O 0.2076 0.2975 0.3671
O7 O 0.2538 0.8450 0.5306
O8 O 0.2975 0.2076 0.8671
O9 O 0.3617 0.4492 0.7788
O10 O 0.3982 0.8336 0.1203
O11 O 0.4492 0.3617 0.2788
O12 O 0.4964 0.0707 0.2688
O13 O 0.5036 0.9293 0.7312
O14 O 0.5508 0.6383 0.7212
O15 O 0.6018 0.1664 0.8797
O16 O 0.6383 0.5508 0.2212
O17 O 0.7025 0.7924 0.1329
O18 O 0.7462 0.1550 0.4694
O19 O 0.7924 0.7025 0.6329
O20 O 0.8336 0.3982 0.6203
O21 O 0.8450 0.2538 0.0306
O22 O 0.8949 0.9416 0.9164
O23 O 0.9293 0.5036 0.2312
O24 O 0.9416 0.8949 0.4164

(4)
# Mn2O3 | the Materials Project | PBE with a Hubbard U | relaxed
# total DFT energy (no corrections)	-7.52	eV/atom
# E_form	-1964	meV per atom
data_Mn2O3
_chemical_formula_sum 'Mn4 O6'
_cell_length_a 5.0368
_cell_length_b 5.0385
_cell_length_c 5.4453
_cell_angle_alpha 64.83
_cell_angle_beta 64.80
_cell_angle_gamma 65.90
_space_group_name_H-M_alt 'P 1'
_space_group_IT_number 1
loop_
_space_group_symop_operation_xyz
'x,y,z'
loop_
_atom_site_label
_atom_site_type_symbol
_atom_site_fract_x
_atom_site_fract_y
_atom_site_fract_z
Mn1 Mn 0.1517 0.1569 0.0478
Mn2 Mn 0.3422 0.3482 0.4534
Mn3 Mn 0.6578 0.6518 0.5466
Mn4 Mn 0.8483 0.8431 0.9522
O1 O 0.0296 0.7750 0.2439
O2 O 0.2751 0.5289 0.7441
O3 O 0.4139 0.0846 0.2511
O4 O 0.5861 0.9154 0.7489
O5 O 0.7249 0.4711 0.2559
O6 O 0.9704 0.2250 0.7561

(5)
# La2MnCoO6 | the Materials Project | PBE with a Hubbard U | relaxed
# total DFT energy (no corrections)	-7.60	eV/atom
# E_form	-2755	meV per atom
data_La2MnCoO6
_chemical_formula_sum 'La2 Mn1 Co1 O6'
_cell_length_a 5.5301
_cell_length_b 5.5301
_cell_length_c 5.6082
_cell_angle_alpha 119.99
_cell_angle_beta 119.99
_cell_angle_gamma 59.89
_space_group_name_H-M_alt 'P 1'
_space_group_IT_number 1
loop_
_space_group_symop_operation_xyz
'x,y,z'
loop_
_atom_site_label
_atom_site_type_symbol
_atom_site_fract_x
_atom_site_fract_y
_atom_site_fract_z
La1 La 0.2491 0.2491 0.2415
La2 La 0.7509 0.7509 0.7585
Mn1 Mn 0.5000 0.5000 0.0000
Co1 Co 0.0000 0.0000 0.5000
O1 O 0.2106 0.7006 0.1976
O2 O 0.2578 0.2578 0.6783
O3 O 0.2994 0.7894 0.8024
O4 O 0.7006 0.2106 0.1976
O5 O 0.7422 0.7422 0.3217
O6 O 0.7894 0.2994 0.8024

(6)
# SrNd5Fe6As6O6 | the Materials Project | PBE with a Hubbard U | relaxed
# total DFT energy (no corrections)	-6.44	eV/atom
# E_form	-1590	meV per atom
data_SrNd5Fe6As6O6
_chemical_formula_sum 'Sr2 Nd10 Fe12 As12 O12'
_cell_length_a 9.1788
_cell_length_b 10.1941
_cell_length_c 11.6065
_cell_angle_alpha 73.44
_cell_angle_beta 71.52
_cell_angle_gamma 68.79
_space_group_name_H-M_alt 'P 1'
_space_group_IT_number 1
loop_
_space_group_symop_operation_xyz
'x,y,z'
loop_
_atom_site_label
_atom_site_type_symbol
_atom_site_fract_x
_atom_site_fract_y
_atom_site_fract_z
Sr1 Sr 0.2102 0.3669 0.2302
Sr2 Sr 0.7898 0.6331 0.7698
Nd1 Nd 0.1248 0.6211 0.9394
Nd2 Nd 0.1262 0.6193 0.4377
Nd3 Nd 0.2057 0.3774 0.7301
Nd4 Nd 0.4583 0.6191 0.1052
Nd5 Nd 0.4591 0.6218 0.6049
Nd6 Nd 0.5409 0.3782 0.3951
Nd7 Nd 0.5417 0.3809 0.8948
Nd8 Nd 0.7943 0.6226 0.2699
Nd9 Nd 0.8738 0.3807 0.5623
Nd10 Nd 0.8752 0.3789 0.0606
Fe1 Fe 0.1638 0.9982 0.2104
Fe2 Fe 0.1653 0.0005 0.9605
Fe3 Fe 0.1674 0.0013 0.7095
Fe4 Fe 0.1679 0.9985 0.4596
Fe5 Fe 0.4994 0.0002 0.1244
Fe6 Fe 0.5002 0.0009 0.6247
Fe7 Fe 0.4998 0.9991 0.3753
Fe8 Fe 0.5006 0.9998 0.8756
Fe9 Fe 0.8321 0.0015 0.5404
Fe10 Fe 0.8326 0.9987 0.2905
Fe11 Fe 0.8347 0.9995 0.0395
Fe12 Fe 0.8362 0.0018 0.7896
As1 As 0.0584 0.8243 0.1539
As2 As 0.0582 0.8273 0.6535
As3 As 0.2739 0.1729 0.0127
As4 As 0.2750 0.1741 0.5130
As5 As 0.3876 0.8285 0.8216
As6 As 0.3922 0.8254 0.3188
As7 As 0.6078 0.1746 0.6812
As8 As 0.6124 0.1715 0.1784
As9 As 0.7250 0.8259 0.4870
As10 As 0.7261 0.8271 0.9873
As11 As 0.9418 0.1727 0.3465
As12 As 0.9416 0.1757 0.8461
O1 O 0.0091 0.4930 0.6212
O2 O 0.0089 0.4931 0.8780
O3 O 0.3328 0.5014 0.7901
O4 O 0.3354 0.4988 0.5428
O5 O 0.3354 0.5060 0.0350
O6 O 0.3378 0.5037 0.2944
O7 O 0.6622 0.4963 0.7056
O8 O 0.6646 0.4940 0.9650
O9 O 0.6646 0.5012 0.4572
O10 O 0.6672 0.4986 0.2099
O11 O 0.9911 0.5069 0.1220
O12 O 0.9909 0.5070 0.3788

- What is the total DFT energy (no corrections) in the fifth record?
  -7.60 eV/atom

- Look up the total DFT energy (no corrections) of the sixth one.
  -6.44 eV/atom